i:
An optimized crystal structure of MgAl2O4, computed with PBE.

The structure in CIF format:
```
data_MgAl2O4
_chemical_formula_sum 'Mg28 Al56 O112'
_cell_length_a 10.033
_cell_length_b 5.761
_cell_length_c 33.178
_cell_angle_alpha 90.00
_cell_angle_beta 95.99
_cell_angle_gamma 90.00
_space_group_name_H-M_alt 'C 1 m 1'
_space_group_IT_number 8
loop_
_space_group_symop_operation_xyz
'x,y,z'
'x,-y,z'
'x+1/2,y+1/2,z'
'x+1/2,-y+1/2,z'
loop_
_atom_site_label
_atom_site_type_symbol
_atom_site_fract_x
_atom_site_fract_y
_atom_site_fract_z
Mg1 Mg 0.000 0.000 0.000
Mg2 Mg 0.012 0.500 0.053
Mg3 Mg 0.026 0.000 0.105
Mg4 Mg 0.071 0.500 0.714
Mg5 Mg 0.086 0.000 0.768
Mg6 Mg 0.138 0.000 0.430
Mg7 Mg 0.173 0.000 0.538
Mg8 Mg 0.246 0.500 0.251
Mg9 Mg 0.286 0.000 0.856
Mg10 Mg 0.300 0.500 0.911
Mg11 Mg 0.356 0.500 0.571
Mg12 Mg 0.372 0.000 0.625
Mg13 Mg 0.423 0.000 0.286
Mg14 Mg 0.460 0.000 0.394
Al1 Al 0.015 0.500 0.554
Al2 Al 0.046 0.243 0.910
Al3 Al 0.084 0.000 0.269
Al4 Al 0.095 0.500 0.822
Al5 Al 0.118 0.256 0.625
Al6 Al 0.156 0.500 0.482
Al7 Al 0.156 0.500 0.984
Al8 Al 0.192 0.251 0.340
Al9 Al 0.210 0.500 0.142
Al10 Al 0.224 0.000 0.197
Al11 Al 0.227 0.000 0.698
Al12 Al 0.263 0.250 0.053
Al13 Al 0.299 0.500 0.411
Al14 Al 0.310 0.000 0.964
Al15 Al 0.332 0.242 0.768
Al16 Al 0.366 0.000 0.122
Al17 Al 0.381 0.500 0.681
Al18 Al 0.406 0.249 0.483
Al19 Al 0.441 0.500 0.340
Al20 Al 0.441 0.500 0.841
Al21 Al 0.479 0.254 0.196
O1 O 0.002 0.240 0.805
O2 O 0.022 0.223 0.305
O3 O 0.040 0.500 0.161
O4 O 0.050 0.000 0.166
O5 O 0.051 0.000 0.662
O6 O 0.057 0.500 0.655
O7 O 0.076 0.276 0.515
O8 O 0.102 0.272 0.020
O9 O 0.108 0.000 0.878
O10 O 0.113 0.500 0.879
O11 O 0.118 0.000 0.369
O12 O 0.137 0.500 0.372
O13 O 0.146 0.223 0.230
O14 O 0.172 0.230 0.733
O15 O 0.179 0.500 0.591
O16 O 0.184 0.000 0.598
O17 O 0.197 0.500 0.089
O18 O 0.206 0.000 0.087
O19 O 0.216 0.261 0.948
O20 O 0.237 0.278 0.447
O21 O 0.245 0.000 0.305
O22 O 0.265 0.500 0.309
O23 O 0.268 0.500 0.804
O24 O 0.271 0.000 0.799
O25 O 0.289 0.242 0.663
O26 O 0.302 0.235 0.162
O27 O 0.321 0.500 0.022
O28 O 0.328 0.000 0.019
O29 O 0.333 0.500 0.511
O30 O 0.351 0.000 0.515
O31 O 0.360 0.276 0.372
O32 O 0.387 0.270 0.876
O33 O 0.394 0.000 0.734
O34 O 0.398 0.500 0.737
O35 O 0.403 0.000 0.224
O36 O 0.422 0.229 0.089
O37 O 0.423 0.500 0.229
O38 O 0.459 0.229 0.589
O39 O 0.459 0.500 0.447
O40 O 0.478 0.000 0.452
O41 O 0.484 0.000 0.947
O42 O 0.486 0.500 0.942
```

Output
For the calculated volume, the calculation gives 9.7 Å³/atom. The value obtained for the total magnetization is 0.00 μB per formula unit. The calculated density is 3.47 g/cm³.

=====

ii:
An optimized crystal structure of MgAl2O4, computed with PBE.

The structure in CIF format:
```
data_MgAl2O4
_chemical_formula_sum 'Mg24 Al48 O96'
_cell_length_a 5.7739
_cell_length_b 5.7739
_cell_length_c 56.6516
_cell_angle_alpha 90.00
_cell_angle_beta 90.00
_cell_angle_gamma 120.00
_space_group_name_H-M_alt 'R 3 m'
_space_group_IT_number 160
_space_group_name_Hall 'R 3 -2"'
loop_
_atom_site_label
_atom_site_type_symbol
_atom_site_fract_x
_atom_site_fract_y
_atom_site_fract_z
Mg1 Mg 0.0000 0.0000 0.0000
Mg2 Mg 0.0000 0.0000 0.0608
Mg3 Mg 0.0000 0.0000 0.2490
Mg4 Mg 0.0000 0.0000 0.4988
Mg5 Mg 0.0000 0.0000 0.5618
Mg6 Mg 0.0000 0.0000 0.6560
Mg7 Mg 0.0000 0.0000 0.7495
Mg8 Mg 0.0000 0.0000 0.8114
Al1 Al 0.0000 0.0000 0.1551
Al2 Al 0.0000 0.0000 0.3109
Al3 Al 0.0000 0.0000 0.4054
Al4 Al 0.0000 0.0000 0.9048
Al5 Al 0.9999 0.4999 0.7802
Al6 Al 0.1670 0.3341 0.8635
Al7 Al 0.1691 0.3381 0.6134
Al8 Al 0.1694 0.3388 0.3640
O1 O 0.0000 0.0000 0.0959
O2 O 0.0000 0.0000 0.2144
O3 O 0.0000 0.0000 0.3431
O4 O 0.0000 0.0000 0.4644
O5 O 0.0000 0.0000 0.5972
O6 O 0.0000 0.0000 0.7152
O7 O 0.0000 0.0000 0.8463
O8 O 0.0000 0.0000 0.9646
O9 O 0.0260 0.5130 0.3458
O10 O 0.0362 0.5181 0.8440
O11 O 0.0366 0.5183 0.0940
O12 O 0.0382 0.5191 0.5936
O13 O 0.1701 0.3403 0.2991
O14 O 0.1845 0.3689 0.5500
O15 O 0.1849 0.3698 0.8000
O16 O 0.1874 0.3748 0.0497
```

Output
For the calculated volume, the calculation gives 9.7 Å³/atom. The calculated density is 3.47 g/cm³.

=====

iii:
An optimized crystal structure of MgAl2O4, computed with PBE.

The structure in CIF format:
```
data_MgAl2O4
_chemical_formula_sum 'Mg12 Al24 O48'
_cell_length_a 5.7707
_cell_length_b 5.7707
_cell_length_c 28.3341
_cell_angle_alpha 90.00
_cell_angle_beta 90.00
_cell_angle_gamma 120.00
_space_group_name_H-M_alt 'P 3 m 1'
_space_group_IT_number 156
loop_
_space_group_symop_operation_xyz
'x,y,z'
'-y,x-y,z'
'-x+y,-x,z'
'-y,-x,z'
'-x+y,y,z'
'x,x-y,z'
loop_
_atom_site_label
_atom_site_type_symbol
_atom_site_fract_x
_atom_site_fract_y
_atom_site_fract_z
Mg1 Mg 0.0000 0.0000 0.0000
Mg2 Mg 0.0000 0.0000 0.1215
Mg3 Mg 0.0000 0.0000 0.3102
Mg4 Mg 0.0000 0.0000 0.4980
Mg5 Mg 0.0000 0.0000 0.6239
Mg6 Mg 0.3333 0.6667 0.1431
Mg7 Mg 0.3333 0.6667 0.4569
Mg8 Mg 0.3333 0.6667 0.8319
Mg9 Mg 0.3333 0.6667 0.9561
Mg10 Mg 0.6667 0.3333 0.2881
Mg11 Mg 0.6667 0.3333 0.6654
Mg12 Mg 0.6667 0.3333 0.7905
Al1 Al 0.0000 0.0000 0.8112
Al2 Al 0.0007 0.5004 0.5613
Al3 Al 0.0051 0.5025 0.0606
Al4 Al 0.1618 0.3236 0.2280
Al5 Al 0.1665 0.3330 0.7279
Al6 Al 0.3332 0.1666 0.8945
Al7 Al 0.3333 0.6667 0.3326
Al8 Al 0.3333 0.6667 0.6448
Al9 Al 0.3387 0.1693 0.3948
Al10 Al 0.6667 0.3333 0.1681
Al11 Al 0.6667 0.3333 0.4787
Al12 Al 0.6667 0.3333 0.9775
O1 O 0.0000 0.0000 0.1911
O2 O 0.0000 0.0000 0.4269
O3 O 0.0000 0.0000 0.6928
O4 O 0.0000 0.0000 0.9299
O5 O 0.0137 0.5068 0.1902
O6 O 0.0364 0.5182 0.6881
O7 O 0.1484 0.2969 0.8550
O8 O 0.1638 0.3276 0.3566
O9 O 0.1797 0.3595 0.0964
O10 O 0.1847 0.3694 0.6002
O11 O 0.2974 0.1487 0.7670
O12 O 0.3057 0.1528 0.2643
O13 O 0.3333 0.6667 0.0245
O14 O 0.3333 0.6667 0.2670
O15 O 0.3333 0.6667 0.5260
O16 O 0.3333 0.6667 0.7624
O17 O 0.3689 0.1844 0.5214
O18 O 0.3751 0.1875 0.0223
O19 O 0.5183 0.0366 0.9338
O20 O 0.5191 0.0382 0.4343
O21 O 0.6667 0.3333 0.1029
O22 O 0.6667 0.3333 0.3591
O23 O 0.6667 0.3333 0.5956
O24 O 0.6667 0.3333 0.8596
```

Output
For the calculated volume, the calculation gives 9.7 Å³/atom. The calculated density is 3.47 g/cm³.

=====

Most stable structure - ii; separation to the second - 7 meV/atom.